# 1
## DyBi2BrO4 (PBE-GGA)

Data for crystalline DyBi2BrO4 at its relaxed geometry.

The calculated formation energy comes out at -2.35 eV/atom.

The space group is P4/mmm (No. 123) and the conventional cell measures 3.915, 3.915 and 9.316 Å, with angles of 90.00, 90.00 and 90.00 degrees. The distinct sites, in fractional coordinates, are Dy at (0.000, 0.000, 0.000), Bi at (0.500, 0.500, 0.269), Br at (0.000, 0.000, 0.500) and O at (0.000, 0.500, 0.149).



# 2
## Mg5Bi (PBE-GGA)

Data for crystalline Mg5Bi at its relaxed geometry.

The calculated formation energy comes out at -0.03 eV/atom.

The space group is Amm2 (No. 38) and the conventional cell measures 5.535, 3.237 and 16.486 Å, with angles of 90.00, 90.00 and 90.00 degrees. The distinct sites, in fractional coordinates, are Mg at (0.000, 0.000, 0.000), Mg at (0.000, 0.000, 0.330), Mg at (0.000, 0.000, 0.665), Mg at (0.500, 0.000, 0.216), Mg at (0.500, 0.000, 0.558) and Bi at (0.500, 0.000, 0.888).



# 3
## LiNdTi2O6 (PBE-GGA)

Data for crystalline LiNdTi2O6 at its relaxed geometry.

The calculated formation energy comes out at -3.46 eV/atom. Its energy above the most stable polymorph in this dataset is 0.0000 eV per atom.

The space group is Pmc2_1 (No. 26) and the conventional cell measures 7.661, 5.377 and 5.623 Å, with angles of 90.00, 90.00 and 90.00 degrees. The distinct sites, in fractional coordinates, are Li at (0.000, 0.216, 0.000), Nd at (0.500, 0.236, 0.072), Ti at (0.234, 0.262, 0.596), O at (0.000, 0.150, 0.629), O at (0.213, 0.444, 0.934), O at (0.300, 0.042, 0.353) and O at (0.500, 0.329, 0.648).



# 4
## SmReB4 (PBE-GGA)

Data for crystalline SmReB4 at its relaxed geometry.

The calculated formation energy comes out at -0.53 eV/atom.

The space group is Pbam (No. 55) and the conventional cell measures 6.038, 11.696 and 3.660 Å, with angles of 90.00, 90.00 and 90.00 degrees. The distinct sites, in fractional coordinates, are Sm at (0.124, 0.151, 0.000), Re at (0.129, 0.413, 0.000), B at (0.025, 0.691, 0.500), B at (0.113, 0.546, 0.500), B at (0.139, 0.967, 0.500) and B at (0.217, 0.816, 0.500).



# 5
## GdCoSi3 (PBE-GGA)

Data for crystalline GdCoSi3 at its relaxed geometry.

The calculated formation energy comes out at -0.64 eV/atom.

The space group is I4mm (No. 107) and the conventional cell measures 4.072, 4.072 and 9.636 Å, with angles of 90.00, 90.00 and 90.00 degrees. The distinct sites, in fractional coordinates, are Gd at (0.000, 0.000, 0.000), Co at (0.000, 0.000, 0.659), Si at (0.000, 0.000, 0.427) and Si at (0.000, 0.500, 0.259).